First-principles (PBE) data for a geometry-optimized Er4Fe29Si5 structure, as listed in the Materials Project.

Calculated values
As for the space group: P-1. Its total energy is -295.9 eV per cell. The formation energy is -118.7 meV/atom. Its total moment is 54.61 μB per cell. Its crystal system is triclinic. The calculation puts the corrected total energy (MP2020 scheme) at -0.2858 Ha/atom.

Cell lengths 6.3258, 6.3377, 12.6441 Å; angles 82.22, 81.58, 82.16 degrees
Atoms (fractional coordinates):
Fe1 0.0000 0.6984 0.1517
Fe2 0.3404 0.8447 0.1709
Fe3 0.6937 0.3086 0.4996
Fe4 0.3063 0.6914 0.5004
Fe5 0.3369 0.3382 0.4249
Fe6 0.9992 0.0016 0.2501
Er1 0.3481 0.3421 0.6732
Fe7 0.3402 0.3400 0.9219
Fe8 0.8491 0.3374 0.6685
Fe9 0.1548 0.6586 0.8300
Fe10 0.2957 0.0007 0.3523
Fe11 0.3027 0.6972 0.0002
Er2 0.6519 0.6579 0.3268
Er3 0.3451 0.3464 0.1739
Fe12 0.6598 0.6600 0.0781
Si1 0.8986 0.8991 0.9495
Fe13 0.6555 0.1620 0.3285
Fe14 0.0000 0.5000 0.0000
Fe15 0.7005 0.0010 0.1499
Fe16 0.6973 0.3028 0.9998
Fe17 0.9983 0.3089 0.3477
Fe18 0.8452 0.3414 0.1700
Si2 0.1087 0.0797 0.5547
Fe19 0.1509 0.6626 0.3315
Fe20 0.0017 0.6911 0.6523
Fe21 0.3445 0.8380 0.6715
Fe22 0.7043 0.9993 0.6477
Fe23 0.5000 0.0000 0.5000
Fe24 0.6596 0.1553 0.8291
Si3 0.8913 0.9203 0.4453
Fe25 0.0008 0.9984 0.7499
Si4 0.1014 0.1009 0.0505
Fe26 0.6631 0.6618 0.5751
Fe27 0.2995 0.9990 0.8501
Fe28 0.0000 0.3016 0.8483
Er4 0.6549 0.6536 0.8261
Fe29 0.5000 0.0000 0.0000
Si5 0.0000 0.5000 0.5000